VASP calculation (meta-GGA r2SCAN) on a relaxed Lu2S3 crystal.

The structure belongs to space group P6_3cm (No. 185); the cell edges are 6.7078, 6.7078 and 18.3541 Å and the angles 90.00°, 90.00° and 120.00°. The asymmetric unit holds Lu at (0.0000, 0.0000, 0.0000), Lu at (0.0000, 0.0000, 0.2012), Lu at (0.3333, 0.6667, 0.0347), Lu at (0.3333, 0.6667, 0.3365), S at (0.0000, 0.3030, 0.0967), S at (0.0000, 0.3352, 0.7699) and S at (0.0000, 0.3663, 0.4391).

As for the volume: 715.20 Å³/cell. The formation energy is -2.32 eV per atom. The value obtained for the total magnetic moment is 0.0000 μB/atom.